Record 1
NaLaMnWO6 | PBE with a Hubbard U | optimized geometry

Cell: 5.7214 5.7214 5.7214 Å, 60.00 60.00 60.00°
With the nearest neighbours (Å) after each atom.
Atoms (fractional coordinates):
Mn (0.0000, 0.0000, 0.0000)  6 O 2.11
W (0.5000, 0.5000, 0.5000)  6 O 1.94
O (0.7394, 0.2606, 0.2606)  1 W 1.94, 1 Mn 2.11
O (0.2606, 0.7394, 0.2606)  1 W 1.94, 1 Mn 2.11
O (0.7394, 0.2606, 0.7394)  1 W 1.94, 1 Mn 2.11
La (0.7500, 0.7500, 0.7500)  12 O 2.86
Na (0.2500, 0.2500, 0.2500)  12 O 2.86
O (0.7394, 0.7394, 0.2606)  1 W 1.94, 1 Mn 2.11
O (0.2606, 0.7394, 0.7394)  1 W 1.94, 1 Mn 2.11
O (0.2606, 0.2606, 0.7394)  1 W 1.94, 1 Mn 2.11

Output
Its space-group type is F-43m, No. 216. The volume comes out at 13.24 Å³/atom. The magnetic moment is 0.500 μB per atom. The value obtained for the total energy is -0.5393 Ry per atom.



Record 2
Li32Mn13Cr3O48 | PBE with a Hubbard U | optimized geometry

Cell: 5.0094 8.6720 19.4678 Å, 98.25 94.85 89.80°
With the nearest neighbours (Å) after each atom.
Atoms (fractional coordinates):
O (0.9272, 0.4259, 0.5679)  1 Cr 1.92, 1 Mn 1.95, 3 Li 2.04-2.14
Li (0.2435, 0.4190, 0.0001)  6 O 2.06-2.19
O (0.0708, 0.2150, 0.4309)  2 Mn 1.94, 2 Li 2.06-2.07
Cr (0.3825, 0.5410, 0.3747)  6 O 1.91-2.00
Li (0.5057, 0.3308, 0.2500)  6 O 2.05-2.21
Mn (0.3749, 0.5416, 0.8752)  6 O 1.93-1.95
Cr (0.8820, 0.0414, 0.8749)  6 O 1.91-2.00
Li (0.7442, 0.9189, 0.4999)  6 O 2.06-2.20
O (0.7865, 0.6432, 0.1811)  2 Mn 1.93-1.94, 2 Li 2.06-2.09
O (0.0293, 0.8938, 0.9310)  1 Cr 1.91, 1 Mn 1.95, 2 Li 2.05-2.13
O (0.1787, 0.0369, 0.8190)  1 Cr 1.91, 1 Mn 1.95, 2 Li 2.06-2.10
Mn (0.1242, 0.9585, 0.1251)  6 O 1.93-1.95
Mn (0.1240, 0.9580, 0.6250)  6 O 1.93-1.95
Li (0.2493, 0.7495, 0.0002)  6 O 2.03-2.19
O (0.5764, 0.7178, 0.4317)  1 Mn 1.93, 1 Cr 1.97, 2 Li 2.05-2.08
Li (0.8759, 0.3758, 0.8753)  6 O 2.08-2.13
Li (0.4916, 0.6689, 0.2492)  6 O 2.06-2.21
O (0.4634, 0.6068, 0.0689)  2 Mn 1.94, 3 Li 2.06-2.17
O (0.7132, 0.8573, 0.3190)  2 Mn 1.94, 3 Li 2.06-2.17
O (0.5726, 0.0720, 0.4319)  2 Mn 1.95-1.96, 4 Li 2.02-2.14
Mn (0.1259, 0.2915, 0.1251)  6 O 1.93-1.95
O (0.7881, 0.6431, 0.6809)  2 Mn 1.94, 2 Li 2.07-2.08
O (0.5708, 0.7149, 0.9309)  2 Mn 1.94, 2 Li 2.06-2.07
Li (0.2437, 0.4196, 0.5003)  6 O 2.04-2.20
O (0.6764, 0.1752, 0.8181)  1 Cr 1.95, 1 Mn 1.95, 4 Li 2.03-2.16
Li (0.7573, 0.5820, 0.4997)  6 O 2.05-2.21
O (0.8176, 0.3237, 0.6828)  1 Mn 1.94, 1 Cr 1.98, 4 Li 2.03-2.13
O (0.4626, 0.6070, 0.5688)  2 Mn 1.93-1.94, 2 Li 2.07-2.08
O (0.0703, 0.5731, 0.4324)  1 Mn 1.94, 1 Cr 2.00, 4 Li 2.03-2.14
O (0.3220, 0.4627, 0.6810)  1 Cr 1.91, 1 Mn 1.94, 2 Li 2.06-2.11
O (0.1759, 0.6760, 0.3179)  1 Mn 1.95, 1 Cr 1.96, 4 Li 2.02-2.15
O (0.7117, 0.8534, 0.8181)  1 Mn 1.92, 1 Cr 1.99, 2 Li 2.05-2.07
Li (0.7466, 0.2487, 0.5000)  6 O 2.02-2.19
Li (0.0069, 0.8312, 0.2504)  6 O 2.06-2.20
O (0.4342, 0.2862, 0.5683)  1 Mn 1.93, 1 Cr 1.97, 3 Li 2.05-2.13
O (0.5305, 0.3935, 0.4309)  1 Cr 1.91, 1 Mn 1.95, 2 Li 2.04-2.13
Mn (0.6243, 0.4586, 0.1251)  6 O 1.94-1.95
Cr (0.1249, 0.2945, 0.6250)  6 O 1.91-1.98
O (0.0755, 0.2170, 0.9315)  1 Mn 1.92, 1 Cr 1.95, 2 Li 2.06-2.08
O (0.3220, 0.4650, 0.1811)  2 Mn 1.94, 2 Li 2.06-2.08
Li (0.5090, 0.3308, 0.7505)  6 O 2.06-2.21
O (0.2109, 0.3526, 0.3178)  1 Mn 1.92, 1 Cr 1.99, 3 Li 2.05-2.15
Mn (0.8721, 0.7076, 0.8743)  6 O 1.92-1.96
O (0.4274, 0.9277, 0.5681)  2 Mn 1.95, 4 Li 2.04-2.15
Li (0.7495, 0.2497, 0.0002)  6 O 2.03-2.19
O (0.9669, 0.1063, 0.5688)  1 Mn 1.93, 1 Cr 1.96, 2 Li 2.05-2.10
O (0.4283, 0.2853, 0.0692)  2 Mn 1.94, 2 Li 2.06-2.08
Li (0.1250, 0.6269, 0.6250)  6 O 2.06-2.13
Li (0.4982, 0.9996, 0.7498)  6 O 2.03-2.18
Li (0.9923, 0.1688, 0.7491)  6 O 2.05-2.21
O (0.1770, 0.6779, 0.8180)  2 Mn 1.95, 4 Li 2.04-2.15
Mn (0.3765, 0.2101, 0.8759)  6 O 1.92-1.95
Li (0.2565, 0.0806, 0.4998)  6 O 2.05-2.21
Mn (0.6261, 0.7914, 0.6250)  6 O 1.93-1.95
O (0.8220, 0.9648, 0.1810)  2 Mn 1.93-1.94, 2 Li 2.06-2.08
O (0.3228, 0.8222, 0.1821)  2 Mn 1.95, 4 Li 2.03-2.15
Li (0.6246, 0.1254, 0.6250)  6 O 2.08-2.10
Li (0.1247, 0.6250, 0.1250)  6 O 2.08-2.10
O (0.4271, 0.9275, 0.0679)  2 Mn 1.95, 4 Li 2.04-2.13
Li (0.8785, 0.3742, 0.3747)  6 O 2.07-2.13
O (0.2133, 0.3572, 0.8190)  2 Mn 1.94, 3 Li 2.07-2.17
Li (0.0001, 0.4997, 0.2500)  6 O 2.02-2.18
Mn (0.8767, 0.7100, 0.3757)  6 O 1.93-1.95
Mn (0.6260, 0.7913, 0.1251)  6 O 1.93-1.95
Li (0.7422, 0.9202, 0.0006)  6 O 2.05-2.21
O (0.2867, 0.1428, 0.1809)  2 Mn 1.93-1.94, 2 Li 2.06-2.08
Li (0.2586, 0.0814, 0.0001)  6 O 2.06-2.21
Li (0.3760, 0.8751, 0.3753)  6 O 2.08-2.12
O (0.2843, 0.1422, 0.6811)  1 Mn 1.94, 1 Cr 1.96, 3 Li 2.05-2.17
O (0.8225, 0.3223, 0.1820)  2 Mn 1.95, 4 Li 2.03-2.15
Li (0.5004, 0.9999, 0.2499)  6 O 2.03-2.18
O (0.0727, 0.5723, 0.9320)  2 Mn 1.95-1.96, 4 Li 2.03-2.14
O (0.6770, 0.1780, 0.3180)  2 Mn 1.95, 4 Li 2.04-2.15
O (0.8217, 0.9648, 0.6810)  2 Mn 1.94, 2 Li 2.06-2.08
Li (0.3780, 0.8746, 0.8748)  6 O 2.07-2.13
O (0.6778, 0.5370, 0.3188)  1 Cr 1.91, 1 Mn 1.95, 2 Li 2.06-2.11
O (0.6777, 0.5339, 0.8190)  2 Mn 1.94, 2 Li 2.06-2.08
Li (0.9984, 0.4996, 0.7503)  6 O 2.03-2.19
O (0.3226, 0.8215, 0.6820)  2 Mn 1.95, 4 Li 2.03-2.15
Li (0.0059, 0.8313, 0.7502)  6 O 2.05-2.20
Li (0.6249, 0.1251, 0.1250)  6 O 2.08-2.11
Mn (0.8748, 0.0414, 0.3750)  6 O 1.93-1.95
O (0.5384, 0.3941, 0.9312)  2 Mn 1.93, 2 Li 2.07-2.08
Li (0.7562, 0.5805, 0.9999)  6 O 2.06-2.20
Li (0.4952, 0.6695, 0.7503)  6 O 2.06-2.22
O (0.0386, 0.8941, 0.4311)  2 Mn 1.93, 2 Li 2.06-2.08
O (0.9272, 0.4277, 0.0681)  2 Mn 1.95, 4 Li 2.04-2.14
O (0.5698, 0.0731, 0.9325)  1 Mn 1.94, 1 Cr 2.00, 4 Li 2.03-2.14
Li (0.9943, 0.1693, 0.2501)  6 O 2.06-2.20
O (0.1776, 0.0338, 0.3189)  2 Mn 1.93-1.94, 2 Li 2.06-2.08
Li (0.2504, 0.7499, 0.4998)  6 O 2.03-2.18
Mn (0.3723, 0.2073, 0.3742)  6 O 1.92-1.96
O (0.9281, 0.7845, 0.5691)  2 Mn 1.93-1.94, 2 Li 2.06
O (0.9280, 0.7851, 0.0690)  2 Mn 1.94, 2 Li 2.06-2.08
Mn (0.6237, 0.4590, 0.6248)  6 O 1.93-1.95
O (0.9637, 0.1068, 0.0689)  2 Mn 1.94, 2 Li 2.07-2.09

Output
Its space-group type is P1, No. 1. The volume comes out at 8.69 Å³/atom. The magnetic moment is 0.469 μB per atom. The value obtained for the total energy is -0.4564 Ry per atom.



Record 3
Mn5SbO12 | PBE with a Hubbard U | optimized geometry

Cell: 5.2205 5.2205 9.7236 Å, 89.81 89.81 120.70°
With the nearest neighbours (Å) after each atom.
Atoms (fractional coordinates):
Mn (0.6663, 0.3337, 0.0000)  6 O 1.95-2.03
O (0.9931, 0.6610, 0.8979)  2 Mn 1.95-2.03, 1 Sb 2.02
O (0.3390, 0.0069, 0.1021)  2 Mn 1.95-2.03, 1 Sb 2.02
O (0.1674, 0.1674, 0.4045)  3 Mn 1.96-1.97
Mn (0.8332, 0.1668, 0.5000)  6 O 1.96-1.97
O (0.1656, 0.4987, 0.5953)  3 Mn 1.96-1.97
Mn (0.3337, 0.6663, 0.0000)  6 O 1.95-2.03
Mn (0.1668, 0.8332, 0.5000)  6 O 1.96-1.97
O (0.6610, 0.9931, 0.8979)  2 Mn 1.95-2.03, 1 Sb 2.02
O (0.5013, 0.8344, 0.4047)  3 Mn 1.96-1.97
O (0.3359, 0.3359, 0.8958)  1 Sb 2.00, 2 Mn 2.01
Mn (0.5000, 0.5000, 0.5000)  6 O 1.96-1.97
O (0.8344, 0.5013, 0.4047)  3 Mn 1.96-1.97
Sb (0.0000, 0.0000, 0.0000)  6 O 2.00-2.02
O (0.0069, 0.3390, 0.1021)  2 Mn 1.95-2.03, 1 Sb 2.02
O (0.6641, 0.6641, 0.1042)  1 Sb 2.00, 2 Mn 2.01
O (0.8326, 0.8326, 0.5955)  3 Mn 1.96-1.97
O (0.4987, 0.1656, 0.5953)  3 Mn 1.96-1.97

Output
Its space-group type is C2/m, No. 12. The volume comes out at 12.66 Å³/atom. The magnetic moment is 0.889 μB per atom. The value obtained for the total energy is -0.5086 Ry per atom.



Record 4
Ba4MgFe4O10 | PBE with a Hubbard U | optimized geometry

Cell: 6.1177 6.1989 9.2505 Å, 106.43 105.12 100.96°
With the nearest neighbours (Å) after each atom.
Atoms (fractional coordinates):
O (0.6435, 0.6045, 0.2816)  1 Fe 1.89
O (0.2585, 0.2041, 0.9622)  1 Mg 1.96, 2 Fe 2.02-2.03
O (0.4154, 0.9183, 0.5026)  2 Fe 1.92-2.14
O (0.3647, 0.3668, 0.7170)  1 Fe 1.99, 1 Mg 2.01
O (0.7588, 0.7516, 0.0158)  2 Fe 2.03-2.04
Fe (0.2394, 0.1816, 0.4834)  4 O 1.94-2.14
O (0.8808, 0.8068, 0.6772)  1 Fe 1.93, 1 Mg 2.02
O (0.2378, 0.7597, 0.0168)  2 Fe 2.23-2.24
Mg (0.1120, 0.1208, 0.7305)  4 O 1.96-2.07
Fe (0.4775, 0.5304, 0.0299)  4 O 2.02-2.23
Ba (0.8181, 0.4413, 0.7795)  6 O 2.60-2.88
Ba (0.4423, 0.8327, 0.7899)  5 O 2.66-2.82
O (0.1721, 0.1772, 0.2660)  2 Fe 1.93-1.94
Ba (0.6114, 0.1385, 0.2270)  6 O 2.75-2.99
Ba (0.0887, 0.6106, 0.2265)  6 O 2.66-2.93
O (0.8038, 0.1995, 0.9932)  1 Fe 1.96
O (0.9057, 0.1307, 0.5174)  2 Fe 1.94-2.12, 1 Mg 2.07
Fe (0.6940, 0.8307, 0.4820)  4 O 1.89-1.94
Fe (0.0285, 0.0194, 0.0372)  4 O 1.93-2.03

Output
Its space-group type is P1, No. 1. The volume comes out at 16.39 Å³/atom. The magnetic moment is 0.947 μB per atom. The value obtained for the total energy is -0.4588 Ry per atom.